DFT (PBE with a Hubbard U) results for a relaxed structure of Na5Co2AsC4O16.

Calculated values
- Magnetic moment: 11.20 μB/cell
- Symmetry: F222
- Energy above the lowest structure with this stoichiometry: 0 meV/atom
- Total DFT energy (no corrections): -6.33 eV per atom
- E_form: -1.779 eV/atom

Lattice parameters (Å, degrees): 10.0230 10.0165 9.9843 60.15 60.08 59.77
Closest atoms and distances in Å follow each position.
Atoms (fractional coordinates):
Na 0.2136 0.2136 0.7864  6 O 2.45-2.54
Na 0.2138 0.7862 0.2138  6 O 2.47-2.55
Na 0.2137 0.7863 0.7863  6 O 2.47-2.57
Na 0.5347 0.9653 0.5347  6 O 2.42-2.54
Na 0.5345 0.9655 0.9655  6 O 2.42-2.55
Na 0.7863 0.2137 0.2137  6 O 2.47-2.57
Na 0.7862 0.2138 0.7862  6 O 2.47-2.55
Na 0.7864 0.7864 0.2136  6 O 2.45-2.54
Na 0.9655 0.5345 0.5345  6 O 2.42-2.55
Na 0.9653 0.5347 0.9653  6 O 2.42-2.54
Co 0.3705 0.8752 0.3771  6 O 2.02-2.10
Co 0.3771 0.3772 0.3705  6 O 2.02-2.10
Co 0.3772 0.3771 0.8752  6 O 2.02-2.10
Co 0.8752 0.3705 0.3772  6 O 2.02-2.10
As 0.0000 0.0000 0.0000  4 O 1.72
As 0.7500 0.7500 0.7500  4 O 1.72
C 0.1602 0.5142 0.1635  3 O 1.28-1.31
C 0.1621 0.1635 0.5142  3 O 1.28-1.31
C 0.1635 0.1621 0.1602  3 O 1.28-1.31
C 0.2372 0.5878 0.5881  3 O 1.29-1.30
C 0.5142 0.1602 0.1621  3 O 1.28-1.31
C 0.5868 0.5881 0.5878  3 O 1.29-1.30
C 0.5878 0.2372 0.5868  3 O 1.29-1.30
C 0.5881 0.5868 0.2372  3 O 1.29-1.30
O 0.0160 0.5177 0.2747  1 C 1.31
O 0.0200 0.1941 0.5173  1 C 1.28
O 0.0206 0.2748 0.1866  1 C 1.30
O 0.1866 0.5180 0.0206  1 C 1.30
O 0.1916 0.2747 0.5177  1 C 1.31
O 0.1941 0.0200 0.2686  1 C 1.28
O 0.2104 0.9321 0.9286  1 As 1.72
O 0.2300 0.4764 0.7319  1 C 1.30
O 0.2305 0.5629 0.4759  1 C 1.30
O 0.2426 0.7257 0.5600  1 C 1.29
O 0.2686 0.5173 0.1941  1 C 1.28
O 0.2748 0.0206 0.5180  1 C 1.30
O 0.2747 0.1916 0.0160  1 C 1.31
O 0.4717 0.5600 0.7257  1 C 1.29
O 0.4764 0.2300 0.5617  1 C 1.30
O 0.4759 0.7306 0.2305  1 C 1.30
O 0.5173 0.2686 0.0200  1 C 1.28
O 0.5177 0.0160 0.1916  1 C 1.31
O 0.5180 0.1866 0.2748  1 C 1.30
O 0.5402 0.8356 0.8118  1 As 1.72
O 0.5600 0.4717 0.2426  1 C 1.29
O 0.5617 0.7319 0.4764  1 C 1.30
O 0.5629 0.2305 0.7306  1 C 1.30
O 0.7257 0.2426 0.4717  1 C 1.29
O 0.7306 0.4759 0.5629  1 C 1.30
O 0.7319 0.5617 0.2300  1 C 1.30
O 0.8118 0.8124 0.5402  1 As 1.72
O 0.8124 0.8118 0.8356  1 As 1.72
O 0.8356 0.5402 0.8124  1 As 1.72
O 0.9286 0.9289 0.2104  1 As 1.72
O 0.9289 0.9286 0.9321  1 As 1.72
O 0.9321 0.2104 0.9289  1 As 1.72


DFT (PBE with a Hubbard U) results for a relaxed structure of Na3CoAsCO7.

Calculated values
- Magnetic moment: 12.00 μB/cell
- Symmetry: P1
- Energy above the lowest structure with this stoichiometry: 2 meV/atom
- Total DFT energy (no corrections): -6.02 eV per atom
- E_form: -1.934 eV/atom

Lattice parameters (Å, degrees): 8.6639 8.6663 9.1317 90.71 90.59 104.89
Closest atoms and distances in Å follow each position.
Atoms (fractional coordinates):
Na 0.0000 0.0000 0.0000  5 O 2.32-2.54
Na 0.9996 0.4995 0.5172  5 O 2.30-2.51
Na 0.1173 0.8638 0.3400  5 O 2.34-2.61
Na 0.1350 0.3798 0.1793  5 O 2.36-2.54
Na 0.2518 0.2436 0.5170  5 O 2.31-2.52
Na 0.2524 0.7446 0.0007  5 O 2.32-2.52
Na 0.4976 0.9979 0.5171  5 O 2.31-2.51
Na 0.4986 0.4976 0.0005  5 O 2.31-2.52
Na 0.6189 0.3635 0.3393  5 O 2.34-2.61
Na 0.6346 0.8813 0.1800  5 O 2.36-2.55
Na 0.7520 0.2451 0.0009  5 O 2.32-2.52
Na 0.7534 0.7452 0.5171  5 O 2.31-2.51
Co 0.3597 0.6020 0.6053  5 O 2.07-2.21
Co 0.3946 0.1363 0.9125  6 O 2.07-2.30
Co 0.8563 0.1051 0.6061  5 O 2.06-2.21
Co 0.8927 0.6384 0.9174  6 O 2.07-2.25
As 0.1027 0.3493 0.8415  4 O 1.71-1.74
As 0.1474 0.8931 0.6752  4 O 1.71-1.74
As 0.6031 0.8478 0.8420  4 O 1.71-1.73
As 0.6486 0.3947 0.6751  4 O 1.71-1.73
C 0.3617 0.1072 0.1989  3 O 1.30-1.31
C 0.3912 0.6367 0.3176  3 O 1.30-1.31
C 0.8623 0.6080 0.1997  3 O 1.29-1.30
C 0.8912 0.1372 0.3179  3 O 1.30-1.31
O 0.0084 0.9513 0.5666  1 As 1.73
O 0.0431 0.4870 0.9513  1 As 1.73
O 0.0766 0.8224 0.8425  1 As 1.71
O 0.1724 0.4188 0.6736  1 As 1.71
O 0.2052 0.7539 0.5663  1 As 1.73
O 0.2421 0.2921 0.9500  1 As 1.73
O 0.2609 0.0103 0.1111  1 C 1.31
O 0.2818 0.5246 0.3785  1 C 1.31
O 0.3098 0.0564 0.7044  1 As 1.74
O 0.3486 0.0943 0.3397  1 C 1.30
O 0.4000 0.6458 0.1762  1 C 1.30
O 0.4394 0.6861 0.8131  1 As 1.73
O 0.4758 0.2175 0.1415  1 C 1.30
O 0.4911 0.7391 0.4014  1 C 1.30
O 0.5099 0.4519 0.5649  1 As 1.73
O 0.5455 0.9865 0.9522  1 As 1.73
O 0.5772 0.3231 0.8421  1 As 1.71
O 0.6721 0.9183 0.6743  1 As 1.71
O 0.7052 0.2549 0.5656  1 As 1.73
O 0.7410 0.7888 0.9513  1 As 1.73
O 0.7635 0.5097 0.1114  1 C 1.30
O 0.7805 0.0269 0.3797  1 C 1.31
O 0.8111 0.5568 0.7043  1 As 1.73
O 0.8492 0.5950 0.3402  1 C 1.29
O 0.8990 0.1453 0.1763  1 C 1.30
O 0.9402 0.1860 0.8129  1 As 1.74
O 0.9746 0.7199 0.1421  1 C 1.30
O 0.9933 0.2384 0.4007  1 C 1.30


DFT (PBE with a Hubbard U) results for a relaxed structure of Na2CoAsCO7.

Calculated values
- Magnetic moment: 4.00 μB/cell
- Symmetry: P2_1/m
- Total DFT energy (no corrections): -6.13 eV per atom
- E_form: -1.813 eV/atom

Lattice parameters (Å, degrees): 5.3672 6.6009 9.1290 90.00 92.81 90.00
Closest atoms and distances in Å follow each position.
Atoms (fractional coordinates):
Na 0.2311 0.9998 0.2739  5 O 2.26-2.49
Na 0.2311 0.5002 0.2739  5 O 2.26-2.49
Na 0.7689 0.0002 0.7261  5 O 2.26-2.49
Na 0.7689 0.4998 0.7261  5 O 2.26-2.49
Co 0.2143 0.2500 0.8442  6 O 1.96-2.16
Co 0.7857 0.7500 0.1558  6 O 1.96-2.16
As 0.2954 0.7500 0.9309  4 O 1.71-1.75
As 0.7046 0.2500 0.0691  4 O 1.71-1.75
C 0.2786 0.2500 0.5778  3 O 1.25-1.33
C 0.7214 0.7500 0.4222  3 O 1.25-1.33
O 0.0645 0.2500 0.6441  1 C 1.33
O 0.1522 0.7500 0.0939  1 As 1.71
O 0.2087 0.5465 0.8215  1 As 1.72
O 0.2087 0.9535 0.8215  1 As 1.72
O 0.2859 0.2500 0.4410  1 C 1.25
O 0.3800 0.2500 0.0406  1 As 1.75
O 0.4714 0.2500 0.6698  1 C 1.30
O 0.5286 0.7500 0.3302  1 C 1.30
O 0.6200 0.7500 0.9594  1 As 1.75
O 0.7141 0.7500 0.5590  1 C 1.25
O 0.7913 0.0465 0.1785  1 As 1.72
O 0.7913 0.4535 0.1785  1 As 1.72
O 0.8478 0.2500 0.9061  1 As 1.71
O 0.9355 0.7500 0.3559  1 C 1.33


DFT (PBE with a Hubbard U) results for a relaxed structure of Na5Co2AsC4O16.

Calculated values
- Magnetic moment: 16.00 μB/cell
- Symmetry: C2/c
- Energy above the lowest structure with this stoichiometry: 10 meV/atom
- Total DFT energy (no corrections): -6.32 eV per atom
- E_form: -1.769 eV/atom

Lattice parameters (Å, degrees): 10.0096 10.0096 9.9083 119.62 119.62 90.76
Closest atoms and distances in Å follow each position.
Atoms (fractional coordinates):
Na 0.0873 0.9127 0.7500  6 O 2.49-2.50
Na 0.0945 0.3479 0.7623  6 O 2.38-2.56
Na 0.0947 0.3481 0.1794  6 O 2.39-2.56
Na 0.3479 0.0945 0.2623  6 O 2.38-2.56
Na 0.3481 0.0947 0.6794  6 O 2.39-2.56
Na 0.6519 0.9053 0.3206  6 O 2.39-2.56
Na 0.6521 0.9055 0.7377  6 O 2.38-2.56
Na 0.9053 0.6519 0.8206  6 O 2.39-2.56
Na 0.9055 0.6521 0.2377  6 O 2.38-2.56
Na 0.9127 0.0873 0.2500  6 O 2.49-2.50
Co 0.0000 0.5000 0.5000  6 O 2.07-2.08
Co 0.5000 0.0000 0.0000  6 O 2.07-2.08
Co 0.5000 0.5000 0.0000  6 O 2.04-2.09
Co 0.5000 0.5000 0.5000  6 O 2.04-2.09
As 0.1279 0.8721 0.2500  4 O 1.72-1.73
As 0.8721 0.1279 0.7500  4 O 1.72-1.73
C 0.2830 0.3578 0.5692  3 O 1.29-1.30
C 0.2863 0.7133 0.9261  3 O 1.29-1.31
C 0.2867 0.7137 0.5739  3 O 1.29-1.31
C 0.3578 0.2830 0.0692  3 O 1.29-1.30
C 0.6422 0.7170 0.9308  3 O 1.29-1.30
C 0.7133 0.2863 0.4261  3 O 1.29-1.31
C 0.7137 0.2867 0.0739  3 O 1.29-1.31
C 0.7170 0.6422 0.4308  3 O 1.29-1.30
O 0.0457 0.6625 0.1052  1 As 1.72
O 0.0559 0.9425 0.1075  1 As 1.73
O 0.0575 0.9441 0.3925  1 As 1.73
O 0.1385 0.3526 0.4544  1 C 1.30
O 0.1414 0.6870 0.5386  1 C 1.31
O 0.1418 0.6028 0.7883  1 C 1.30
O 0.3125 0.3537 0.7098  1 C 1.30
O 0.3130 0.8586 0.9614  1 C 1.31
O 0.3167 0.5987 0.4663  1 C 1.29
O 0.3375 0.9543 0.3948  1 As 1.72
O 0.3526 0.1385 0.9544  1 C 1.30
O 0.3537 0.3125 0.2098  1 C 1.30
O 0.3565 0.3915 0.0339  1 C 1.29
O 0.3915 0.3565 0.5339  1 C 1.29
O 0.3972 0.8582 0.7117  1 C 1.30
O 0.4013 0.6833 0.0337  1 C 1.29
O 0.5987 0.3167 0.9663  1 C 1.29
O 0.6028 0.1418 0.2883  1 C 1.30
O 0.6085 0.6435 0.4661  1 C 1.29
O 0.6435 0.6085 0.9661  1 C 1.29
O 0.6463 0.6875 0.7902  1 C 1.30
O 0.6474 0.8615 0.0456  1 C 1.30
O 0.6625 0.0457 0.6052  1 As 1.72
O 0.6833 0.4013 0.5337  1 C 1.29
O 0.6870 0.1414 0.0386  1 C 1.31
O 0.6875 0.6463 0.2902  1 C 1.30
O 0.8582 0.3972 0.2117  1 C 1.30
O 0.8586 0.3130 0.4614  1 C 1.31
O 0.8615 0.6474 0.5456  1 C 1.30
O 0.9425 0.0559 0.6075  1 As 1.73
O 0.9441 0.0575 0.8925  1 As 1.73
O 0.9543 0.3375 0.8948  1 As 1.72